[1]
## Rb2MgCu4H5S4O20 (GGA-PBE)

Data for a relaxed structure of Rb2MgCu4H5S4O20.

Computed properties:
- theoretical density (Mg/m³) = 3.338
- ΔH_f (0 K) (eV/atom) = -1.668
- E_tot (eV per atom) = -5.520

Cell lengths 11.571, 6.373, 8.448 Å; angles 90.25, 67.77, 54.61 degrees
Atoms (fractional coordinates):
O: 0.436 0.244 0.774
O: 0.321 0.195 0.199
O: 0.046 0.138 0.195
O: 0.836 0.193 0.455
O: 0.166 0.858 0.486
O: 0.355 0.644 0.077
O: 0.661 0.867 0.813
O: 0.215 0.756 0.742
O: 0.843 0.144 0.164
O: 0.667 0.337 0.940
O: 0.536 0.784 0.221
O: 0.158 0.340 0.944
O: 0.333 0.180 0.478
O: 0.841 0.658 0.055
O: 0.040 0.760 0.230
O: 0.654 0.833 0.528
O: 0.470 0.827 0.787
O: 0.529 0.178 0.229
O: 0.004 0.784 0.732
O: 0.977 0.202 0.773
H: 0.480 0.521 0.025
H: 0.038 0.455 0.004
H: 0.786 0.723 0.186
H: 0.308 0.706 0.209
H: 0.707 0.301 0.810
S: 0.939 0.061 0.262
S: 0.088 0.909 0.679
S: 0.562 0.934 0.723
S: 0.432 0.085 0.278
Rb: 0.531 0.507 0.478
Rb: 0.983 0.484 0.488
Mg: 0.242 0.406 0.715
Cu: 0.256 0.988 0.992
Cu: 0.760 0.991 0.991
Cu: 0.759 0.486 0.002
Cu: 0.254 0.472 0.035

[2]
## Rb2MgCu4H5S4O20 (GGA-PBE)

Data for a relaxed structure of Rb2MgCu4H5S4O20.

Computed properties:
- theoretical density (Mg/m³) = 3.415
- ΔH_f (0 K) (eV/atom) = -1.663
- E_tot (eV per atom) = -5.515

Cell lengths 11.710, 6.182, 8.368 Å; angles 90.34, 63.54, 58.47 degrees
Atoms (fractional coordinates):
O: 0.721 0.774 0.478
O: 0.827 0.175 0.523
O: 0.313 0.187 0.190
O: 0.358 0.641 0.051
O: 0.323 0.185 0.477
O: 0.516 0.786 0.208
O: 0.960 0.842 0.808
O: 0.173 0.324 0.959
O: 0.691 0.807 0.788
O: 0.792 0.713 0.107
O: 0.158 0.853 0.543
O: 0.961 0.239 0.825
O: 0.503 0.798 0.739
O: 0.801 0.193 0.246
O: 0.165 0.826 0.830
O: 0.015 0.182 0.239
O: 0.504 0.191 0.737
O: 0.662 0.338 0.902
O: 0.013 0.783 0.244
O: 0.518 0.184 0.203
Cu: 0.280 0.969 0.988
Cu: 0.737 0.010 0.993
Cu: 0.736 0.518 0.998
Cu: 0.282 0.462 0.988
H: 0.716 0.285 0.762
H: 0.541 0.459 0.959
H: 0.697 0.811 0.234
H: 0.313 0.687 0.187
H: 0.189 0.309 0.834
Mg: 0.944 0.553 0.194
S: 0.908 0.089 0.318
S: 0.415 0.088 0.272
S: 0.605 0.892 0.687
S: 0.064 0.936 0.749
Rb: 0.019 0.466 0.536
Rb: 0.473 0.525 0.501

[3]
## Rb2MgCu4H5S4O20 (GGA-PBE)

Data for a relaxed structure of Rb2MgCu4H5S4O20.

Computed properties:
- theoretical density (Mg/m³) = 3.274
- ΔH_f (0 K) (eV/atom) = -1.636
- E_tot (eV per atom) = -5.488

Cell lengths 11.083, 6.505, 8.558 Å; angles 92.09, 68.66, 56.72 degrees
Atoms (fractional coordinates):
Cu: 0.246 0.493 0.007
Cu: 0.763 0.491 0.024
Cu: 0.783 0.980 0.967
Cu: 0.240 0.998 0.002
O: 0.325 0.231 0.453
O: 0.854 0.671 0.040
O: 0.348 0.648 0.049
O: 0.982 0.229 0.797
O: 0.828 0.168 0.465
O: 0.822 0.173 0.182
O: 0.440 0.842 0.762
O: 0.999 0.847 0.717
O: 0.524 0.798 0.259
O: 0.164 0.825 0.851
O: 0.027 0.776 0.218
O: 0.621 0.862 0.527
O: 0.037 0.149 0.224
O: 0.543 0.150 0.184
O: 0.664 0.342 0.930
O: 0.480 0.180 0.809
O: 0.689 0.732 0.770
O: 0.331 0.136 0.171
O: 0.173 0.315 0.936
O: 0.231 0.863 0.558
H: 0.537 0.459 0.979
H: 0.054 0.440 0.973
H: 0.306 0.702 0.177
H: 0.710 0.326 0.804
H: 0.826 0.731 0.163
Rb: 0.998 0.504 0.487
Rb: 0.522 0.361 0.505
S: 0.433 0.079 0.258
S: 0.563 0.904 0.721
S: 0.927 0.068 0.272
S: 0.091 0.941 0.735
Mg: 0.383 0.947 0.558